## LiSiBiO4 (PBE-GGA)

Data for a geometry-optimized LiSiBiO4 structure.

Geometry as extended XYZ:
```
42
Lattice="1.4053 3.9690 7.9128 -5.9845 -6.5416 1.3163 7.7011 -3.8761 -2.4512" Properties=species:S:1:pos:R:3 pbc="T T T"
Li 4.2705 -2.7226 6.3104
Li -0.3043 0.0399 3.7272
Li 3.4445 -1.2093 0.8120
Li -0.5421 -5.1521 6.2156
Li 3.3638 -6.7756 2.8719
Li -0.8241 -3.6149 0.4893
Si 2.8672 1.8131 6.3976
Si 0.8200 -1.8762 6.2147
Si 4.7260 -3.4930 2.8774
Si 5.2236 -4.8987 -1.0738
Si -0.0790 -5.9241 2.7775
Si -4.1798 -4.9933 3.1674
Bi 7.1156 -1.2807 3.6653
Bi 3.0993 -0.8015 3.9400
Bi -2.2082 -1.6304 7.6271
Bi -1.3035 -2.9666 3.9079
Bi 2.2046 -4.4955 0.8373
Bi 0.4185 -8.0906 0.2707
O -4.2869 -3.7355 7.1082
O 7.0219 -2.1085 5.7696
O 3.5373 0.9490 5.1621
O 6.1868 -2.8703 2.4046
O 2.5896 0.1149 1.9885
O 4.4487 -2.9363 4.3953
O -0.1412 -0.9240 7.1710
O 0.9802 -1.1782 4.7057
O 2.3159 -2.1380 6.9041
O 4.7437 -5.1603 2.9104
O 3.5218 -2.9359 1.8626
O -1.9307 -3.7692 8.3130
O 6.7801 0.5119 6.0520
O 0.0487 -3.3157 6.0610
O -1.4868 -1.1319 2.6798
O 0.9019 -3.1241 -0.3159
O 1.5312 -6.2013 2.6326
O 3.6406 -5.1336 -0.6727
O -0.4050 -4.3491 2.3267
O -0.5304 -6.1888 4.3609
O -3.3351 -3.7533 3.8536
O -0.8346 -6.9699 1.7380
O 3.1764 -8.4879 -0.8510
O 2.0937 -8.9642 1.5166
```

Results
E_form	-2.4792	eV/atom
V	14.14	A^3/atom
energy relative to the lowest polymorph listed for this composition	0.046	eV per atom
space-group type	No. 146
VASP energy	-6.518	eV/atom